Entry 1:
The following is a DFT calculation (PBE) of a relaxed TbRe2SiC crystal.

Structure (extended XYZ):
```
10
Lattice="1.9799 -5.4484 0.0000 1.9799 5.4484 0.0000 0.0000 0.0000 7.3155" Properties=species:S:1:pos:R:3 pbc="T T T"
C 0.0000 0.0000 0.0000
Si 1.9799 2.5586 1.8289
Re 1.9799 3.5448 4.0993
Re 1.9799 -3.5448 3.2162
Re 1.9799 -3.5448 0.4416
Tb 1.9799 0.4641 5.4866
Re 1.9799 3.5448 6.8739
C 0.0000 0.0000 3.6577
Si 1.9799 -2.5586 5.4866
Tb 1.9799 -0.4641 1.8289
```

Calculated values
Its crystal system is orthorhombic. As for the theoretical density: 12.02 g/cm³. Its formation enthalpy at 0 K is -0.467 eV per atom.


Entry 2:
The following is a DFT calculation (PBE) of a relaxed YRe2SiC crystal.

Structure (extended XYZ):
```
10
Lattice="1.1995 2.3753 5.1618 -4.5007 -2.1284 -2.9899 1.3149 -6.6502 2.7547" Properties=species:S:1:pos:R:3 pbc="T T T"
Y -1.0734 -1.3428 2.1299
Re -2.2749 -7.5914 1.0142
Si 0.6714 -3.8088 5.0623
Y -0.9128 -5.0605 2.7967
C 0.0000 0.0000 0.0000
C 0.6575 -3.3251 1.3773
Re -2.7724 -5.0751 -0.0281
Si -2.6576 -2.5945 -0.1357
Re 0.2887 1.1881 3.9125
Re 0.7862 -1.3281 4.9548
```

Calculated values
Its crystal system is orthorhombic. As for the theoretical density: 10.53 g/cm³. Its formation enthalpy at 0 K is -0.465 eV per atom.


Entry 3:
The following is a DFT calculation (PBE) of a relaxed U5Re3C8 crystal.

Structure (extended XYZ):
```
32
Lattice="-10.7156 1.2300 -3.6115 2.3341 -6.4036 -9.1064 -0.8648 -2.6707 1.6563" Properties=species:S:1:pos:R:3 pbc="T T T"
Re -1.4826 -1.6519 -3.4375
C -8.8550 0.4191 -3.9476
C 0.4734 -5.5926 -8.7703
C -0.7827 -3.6495 -3.0861
Re -6.8989 -3.5217 -9.2804
C -7.6941 -4.3172 -10.9782
U -4.5533 -5.3284 -7.7618
C -8.2630 -1.1783 -6.2140
C -5.5898 -1.4909 -5.3224
C -0.6875 -0.8564 -1.7397
Re -1.3219 -4.7381 -8.3299
U -10.1540 -1.6177 -4.7029
C -2.7917 -3.6826 -7.3954
U -2.7738 -1.3312 -0.3876
C -6.7648 -1.3219 -2.4563
U 1.1670 -3.2018 -4.5532
U -4.6930 -2.5158 -3.2997
C -2.4815 -6.5223 -8.6052
U 0.9077 -6.2265 -6.3586
Re 0.0000 0.0000 0.0000
C -8.4636 -4.1947 -7.9754
C -2.7846 -2.1508 -4.9218
C -5.5969 -3.0227 -7.7960
Re -7.0596 -0.4354 -4.3880
U -7.1659 -3.3657 -5.9611
U -6.4725 -6.5131 -10.6739
C -0.1185 -3.9953 -6.5038
C -5.0252 -4.6177 -10.0693
U -5.3578 0.6150 -1.8057
Re -4.1908 -2.5868 -6.3589
U -2.0805 -4.4786 -5.1004
C -3.3563 -0.5558 -2.6485
```

Calculated values
Its crystal system is tetragonal. As for the theoretical density: 14.53 g/cm³. Its formation enthalpy at 0 K is -0.180 eV per atom.


Entry 4:
The following is a DFT calculation (PBE) of a relaxed UReC2 crystal.

Structure (extended XYZ):
```
16
Lattice="3.1979 0.0000 0.0000 0.0000 5.5978 0.0000 0.0000 0.0000 11.0089" Properties=species:S:1:pos:R:3 pbc="T T T"
U 2.3985 5.1331 1.5573
Re 0.7995 2.3469 1.1435
U 2.3985 2.3341 3.9472
C 2.3985 1.9019 8.1877
C 0.7995 1.3658 5.5768
C 2.3985 4.2321 5.4321
Re 2.3985 3.2510 9.8654
C 2.3985 1.4331 0.0724
C 2.3985 4.7008 8.3256
Re 2.3985 0.4521 6.6479
U 0.7995 3.2637 7.0617
C 0.7995 4.1647 10.9365
Re 0.7995 5.1458 4.3610
C 0.7995 3.6960 2.8212
U 0.7995 0.4648 9.4516
C 0.7995 0.8971 2.6833
```

Calculated values
Its crystal system is orthorhombic. As for the theoretical density: 15.11 g/cm³. Its formation enthalpy at 0 K is -0.173 eV per atom.


Entry 5:
The following is a DFT calculation (PBE) of a relaxed Y12Re5C6 crystal.

Structure (extended XYZ):
```
23
Lattice="-9.6309 -1.3288 3.9831 7.5536 -7.0027 2.0712 1.3189 2.6248 4.0647" Properties=species:S:1:pos:R:3 pbc="T T T"
Re 1.0212 -0.9467 0.2800
Y 6.7151 -4.3016 3.6928
Y 0.7580 -6.3901 3.8806
C -4.9228 -0.9547 5.3076
C 1.6119 -5.1043 5.8670
Y 3.8900 -1.6826 2.9182
Re 2.4849 -3.7990 4.7408
Y -0.5294 -3.4558 5.4973
Y 0.9303 -3.4559 1.9299
Y -2.3810 -2.3626 2.2983
Y -5.7403 -2.3422 3.3751
C 4.3480 -4.0157 4.2762
Y 3.7879 -5.4882 2.3150
C -1.7026 -1.2215 4.4351
Y -3.5869 -4.9556 4.3640
Y -7.0615 0.2471 5.2255
C -3.1045 -3.5470 6.3917
Re -3.2433 -1.9077 5.3781
Re -1.3020 -0.1796 0.5385
Y -3.4596 0.7441 3.7359
Re -1.7965 -7.2052 5.2358
C 1.4948 -2.2772 4.0793
Y 0.2475 -0.3398 3.2330
```

Calculated values
Its crystal system is hexagonal. As for the theoretical density: 7.17 g/cm³. Its formation enthalpy at 0 K is -0.113 eV per atom.


Entry 6:
The following is a DFT calculation (PBE) of a relaxed RhC crystal.

Structure (extended XYZ):
```
2
Lattice="0.0000 2.1779 2.1779 2.1779 0.0000 2.1779 2.1779 2.1779 0.0000" Properties=species:S:1:pos:R:3 pbc="T T T"
C 2.1779 2.1779 2.1779
Rh 0.0000 0.0000 0.0000
```

Calculated values
Its crystal system is cubic. As for the theoretical density: 9.24 g/cm³. Its formation enthalpy at 0 K is 1.102 eV per atom.


Entry 7:
The following is a DFT calculation (PBE) of a relaxed RhC crystal.

Structure (extended XYZ):
```
2
Lattice="0.0000 2.3007 2.3007 2.3007 0.0000 2.3007 2.3007 2.3007 0.0000" Properties=species:S:1:pos:R:3 pbc="T T T"
C 1.1504 1.1504 1.1504
Rh 0.0000 0.0000 0.0000
```

Calculated values
Its crystal system is cubic. As for the theoretical density: 7.83 g/cm³. Its formation enthalpy at 0 K is 0.561 eV per atom.


Entry 8:
The following is a DFT calculation (PBE) of a relaxed Sc3RhC4 crystal.

Structure (extended XYZ):
```
8
Lattice="-1.7036 2.2462 6.1445 1.7036 -2.2462 6.1445 1.7036 2.2462 -6.1445" Properties=species:S:1:pos:R:3 pbc="T T T"
Sc 0.0000 0.0000 6.1445
Sc 1.7036 0.0000 2.3230
C 1.7036 -0.7208 4.5617
Rh 0.0000 0.0000 0.0000
C 0.0000 1.5253 1.5828
Sc 0.0000 2.2462 3.8214
C 0.0000 2.9670 1.5828
C 1.7036 0.7208 4.5617
```

Calculated values
Its crystal system is orthorhombic. As for the theoretical density: 5.05 g/cm³. Its formation enthalpy at 0 K is -0.488 eV per atom.


Entry 9:
The following is a DFT calculation (PBE) of a relaxed Sc3RhC4 crystal.

Structure (extended XYZ):
```
16
Lattice="6.1608 2.8143 0.0000 -6.1608 2.8143 0.0000 0.0000 1.5250 5.4181" Properties=species:S:1:pos:R:3 pbc="T T T"
C 4.5774 3.0112 2.2658
C 1.5903 3.7609 4.9943
Rh 0.0000 4.5258 1.4580
C -1.5903 3.7609 4.9943
Sc -3.8387 2.8143 0.0000
C -4.5774 3.0112 2.2658
C 1.5903 3.3928 0.4239
Sc 3.8387 2.8143 0.0000
Sc 0.0000 1.7223 1.3019
Sc 0.0000 5.4313 4.1162
Sc 2.3386 3.5768 2.7091
C -4.5774 4.1424 3.1523
Rh 0.0000 2.6279 3.9601
C -1.5903 3.3928 0.4239
Sc -2.3386 3.5768 2.7091
C 4.5774 4.1424 3.1523
```

Calculated values
Its crystal system is monoclinic. As for the theoretical density: 5.05 g/cm³. Its formation enthalpy at 0 K is -0.491 eV per atom.


Entry 10:
The following is a DFT calculation (PBE) of a relaxed SmRh3C crystal.

Structure (extended XYZ):
```
5
Lattice="-3.9399 -1.1140 -1.0107 0.4837 -3.6216 2.1062 -1.4243 1.8517 3.5112" Properties=species:S:1:pos:R:3 pbc="T T T"
C -2.4403 -1.4419 2.3033
Rh -0.4703 -0.8849 2.8087
Sm 0.0000 0.0000 0.0000
Rh -1.7281 -2.3678 0.5478
Rh -2.6821 0.3689 1.2502
```

Calculated values
Its crystal system is cubic. As for the theoretical density: 10.43 g/cm³. Its formation enthalpy at 0 K is -0.433 eV per atom.


Entry 11:
The following is a DFT calculation (PBE) of a relaxed TmRh3C crystal.

Structure (extended XYZ):
```
5
Lattice="4.1623 0.0000 0.0000 0.0000 4.1623 0.0000 0.0000 0.0000 4.1623" Properties=species:S:1:pos:R:3 pbc="T T T"
C 2.0812 2.0812 2.0812
Rh 2.0812 0.0000 2.0812
Tm 0.0000 0.0000 0.0000
Rh 0.0000 2.0812 2.0812
Rh 2.0812 2.0812 0.0000
```

Calculated values
Its crystal system is cubic. As for the theoretical density: 11.28 g/cm³. Its formation enthalpy at 0 K is -0.540 eV per atom.


Entry 12:
The following is a DFT calculation (PBE) of a relaxed Tm8Rh5C12 crystal.

Structure (extended XYZ):
```
25
Lattice="-2.4111 -0.4921 2.4628 0.6543 -7.2712 -0.8123 11.0185 1.1181 8.5500" Properties=species:S:1:pos:R:3 pbc="T T T"
Tm -0.0900 -2.3183 1.9094
C 4.6396 -5.9553 3.3523
C 5.7264 -4.4186 7.1841
Rh 2.4916 -3.4040 1.7592
C 3.6814 -6.0664 2.3920
Tm 3.1199 -4.3277 4.6505
Tm 1.0635 -6.1124 2.2806
C 5.5804 -0.5788 7.8085
C 1.3381 -4.3705 0.4367
C 4.7650 -4.3679 6.2530
C 3.5354 -2.2266 3.0163
C 4.6222 -0.6898 6.8482
Rh 2.3648 -0.7150 2.1724
Tm 9.3518 -4.3269 8.2910
C 8.3222 -1.1992 10.3687
Rh 6.7701 -3.2412 8.4413
Tm 6.1419 -2.3175 5.5500
C 7.9237 -2.2746 9.7637
Tm 2.9295 -0.7248 5.1840
Tm 8.1983 -0.5328 7.9198
C 4.4968 -2.2773 3.9474
Tm 6.3322 -5.9204 5.0164
Rh 6.8969 -5.9302 8.0281
Rh 0.0000 0.0000 0.0000
C 0.9396 -5.4459 -0.1683
```

Calculated values
Its crystal system is monoclinic. As for the theoretical density: 9.43 g/cm³. Its formation enthalpy at 0 K is -0.407 eV per atom.


Entry 13:
The following is a DFT calculation (PBE) of a relaxed U2RhC2 crystal.

Structure (extended XYZ):
```
5
Lattice="6.5462 0.2968 1.6198 3.7258 0.5438 5.6024 -5.0738 -2.8549 -3.4162" Properties=species:S:1:pos:R:3 pbc="T T T"
C 8.5161 0.6969 5.9877
U 6.6373 0.5432 4.6667
Rh 0.0000 0.0000 0.0000
U 3.6346 0.2974 2.5555
C 1.7559 0.1437 1.2345
```

Calculated values
Its crystal system is tetragonal. As for the theoretical density: 13.33 g/cm³. Its formation enthalpy at 0 K is -0.303 eV per atom.


Entry 14:
The following is a DFT calculation (PBE) of a relaxed Rh2W2C crystal.

Structure (extended XYZ):
```
5
Lattice="0.8233 9.2983 -2.6454 -1.8994 9.3434 -1.7962 0.1945 9.6997 0.1078" Properties=species:S:1:pos:R:3 pbc="T T T"
W -0.7721 24.8218 -3.7956
W -0.1095 3.5196 -0.5382
C 0.0000 0.0000 0.0000
Rh -0.3333 10.7143 -1.6384
Rh -0.5483 17.6271 -2.6954
```

Calculated values
Its crystal system is trigonal. As for the theoretical density: 14.43 g/cm³. Its formation enthalpy at 0 K is 0.344 eV per atom.


Entry 15:
The following is a DFT calculation (PBE) of a relaxed YRh3C crystal.

Structure (extended XYZ):
```
5
Lattice="-1.3297 -3.3752 -2.0947 -1.5769 -1.5790 3.5452 -3.6460 1.9139 -0.7693" Properties=species:S:1:pos:R:3 pbc="T T T"
Rh -2.4879 -0.7307 -1.4320
Rh -1.4533 -2.4771 0.7252
C -3.2763 -1.5201 0.3406
Rh -2.6115 0.1675 1.3879
Y 0.0000 0.0000 0.0000
```

Calculated values
Its crystal system is cubic. As for the theoretical density: 9.25 g/cm³. Its formation enthalpy at 0 K is -0.485 eV per atom.


Entry 16:
The following is a DFT calculation (PBE) of a relaxed ScRu3C crystal.

Structure (extended XYZ):
```
5
Lattice="4.0874 0.0000 0.0000 0.0000 4.0874 0.0000 0.0000 0.0000 4.0874" Properties=species:S:1:pos:R:3 pbc="T T T"
Ru 2.0437 2.0437 0.0000
C 2.0437 2.0437 2.0437
Ru 0.0000 2.0437 2.0437
Ru 2.0437 0.0000 2.0437
Sc 0.0000 0.0000 0.0000
```

Calculated values
Its crystal system is cubic. As for the theoretical density: 8.76 g/cm³. Its formation enthalpy at 0 K is -0.277 eV per atom.


Entry 17:
The following is a DFT calculation (PBE) of a relaxed Th2Ru6C5 crystal.

Structure (extended XYZ):
```
26
Lattice="9.1491 0.0000 0.0000 0.0000 9.1491 0.0000 0.0000 0.0000 4.2016" Properties=species:S:1:pos:R:3 pbc="T T T"
Ru 1.9358 0.6525 0.0000
C 0.0000 0.0000 0.0000
C 3.4231 1.1515 2.8180
Ru 3.9220 2.6387 0.0000
Ru 8.4966 1.9358 0.0000
C 5.7260 7.9976 1.3837
Th 6.1629 1.5884 2.1008
Th 2.9862 7.5607 2.1008
Ru 7.2133 8.4966 0.0000
C 1.1515 5.7260 2.8180
Ru 0.6525 7.2133 0.0000
C 5.7260 7.9976 2.8180
C 3.4231 1.1515 1.3837
Th 1.5884 2.9862 2.1008
C 7.9976 3.4231 1.3837
C 1.1515 5.7260 1.3837
Ru 0.0000 4.5745 0.0000
Ru 4.5745 4.5745 2.1008
Ru 0.0000 0.0000 2.1008
Ru 2.6387 5.2270 0.0000
C 7.9976 3.4231 2.8180
Ru 4.5745 0.0000 0.0000
Th 7.5607 6.1629 2.1008
C 4.5745 4.5745 0.0000
Ru 6.5103 3.9220 0.0000
Ru 5.2270 6.5103 0.0000
```

Calculated values
Its crystal system is tetragonal. As for the theoretical density: 10.68 g/cm³. Its formation enthalpy at 0 K is -0.210 eV per atom.


Entry 18:
The following is a DFT calculation (PBE) of a relaxed Tm7Ru2C11 crystal.

Structure (extended XYZ):
```
40
Lattice="3.3866 0.0000 0.0000 -1.6933 8.2093 0.0000 0.0000 0.0000 19.5977" Properties=species:S:1:pos:R:3 pbc="T T T"
Tm 1.6933 3.6391 6.7662
C 0.0000 3.2724 4.8994
Tm 0.0000 7.8339 17.1034
C 0.0000 8.1863 14.6983
C 0.0000 2.0733 1.6487
Tm 1.6933 0.3754 7.3045
C 1.6933 4.8234 18.3589
C 1.6933 6.1360 17.9489
Tm 0.0000 4.5702 12.8315
C 0.0000 1.2238 18.0293
Tm 1.6933 3.6391 3.0326
C 0.0000 2.0733 8.1501
C 1.6933 6.1360 11.4476
Ru 0.0000 0.0000 0.0000
C 1.6933 4.9369 14.6983
C 1.6933 5.9970 2.4166
C 0.0000 3.3859 1.2388
Ru 0.0000 1.3396 4.8994
Tm 1.6933 2.6617 10.1803
C 0.0000 3.3859 8.5601
Tm 1.6933 2.6617 19.2162
Tm 0.0000 5.5477 9.4174
C 1.6933 6.9855 8.2305
C 1.6933 0.0230 4.8994
C 0.0000 4.6055 4.8994
C 0.0000 2.2123 17.1811
Ru 0.0000 0.0000 9.7988
Tm 1.6933 6.5232 4.8994
C 0.0000 2.2123 12.2155
C 0.0000 1.2238 11.3672
Tm 0.0000 7.8339 12.2932
Tm 0.0000 1.6861 14.6983
C 1.6933 3.6038 14.6983
C 1.6933 5.9970 7.3822
Tm 0.0000 4.5702 16.5650
C 1.6933 6.9855 1.5684
C 1.6933 4.8234 11.0376
Tm 0.0000 5.5477 0.3814
Ru 1.6933 6.8697 14.6983
Tm 1.6933 0.3754 2.4943
```

Calculated values
Its crystal system is orthorhombic. As for the theoretical density: 9.25 g/cm³. Its formation enthalpy at 0 K is -0.301 eV per atom.


Entry 19:
The following is a DFT calculation (PBE) of a relaxed U2RuC2 crystal.

Structure (extended XYZ):
```
5
Lattice="-1.4236 -3.0538 -0.7014 2.5338 -0.6688 -2.2309 2.8081 -0.7647 6.0732" Properties=species:S:1:pos:R:3 pbc="T T T"
U 2.3869 -1.8637 3.2697
C 1.1571 -0.9035 1.5851
U 1.5314 -2.6236 -0.1288
C 2.7612 -3.5838 1.5558
Ru 0.0000 0.0000 0.0000
```

Calculated values
Its crystal system is tetragonal. As for the theoretical density: 13.42 g/cm³. Its formation enthalpy at 0 K is -0.238 eV per atom.